Entry 1:
First-principles (PBE) data for a geometry-optimized Ca4SnS6 structure, as listed in the Materials Project.

Computed properties:
space-group type: R-3c
formation energy: -1.81 eV per atom
E_tot: -4.891 eV per atom
calculated volume: 22.8 Å³ per atom
polymorph energy (0 for the lowest one): 0.0000 eV/atom

extended XYZ file:
```
22
Lattice="5.657 3.266 4.531 -5.657 3.266 4.531 0.000 -6.533 4.531" Properties=species:S:1:pos:R:3 pbc="T T T"
Ca -3.494 0.481 5.664
Ca 0.000 0.000 3.398
Ca -2.164 -2.785 7.930
Ca 1.330 -3.266 5.664
Ca -1.330 3.266 7.930
Ca 2.164 2.785 5.664
Ca 0.000 0.000 10.195
Ca 3.494 -0.481 7.930
Sn 0.000 0.000 0.000
Sn 0.000 0.000 6.797
S -4.989 -1.284 7.591
S -1.383 -4.962 6.003
S -1.383 -1.570 5.325
S -3.606 3.679 6.003
S -0.669 1.983 5.325
S -2.051 0.412 8.268
S 2.051 -0.412 5.325
S 0.669 -1.983 8.268
S 3.606 -3.679 7.591
S 1.383 1.570 8.268
S 1.383 4.962 7.591
S 4.989 1.284 6.003
```

---

Entry 2:
First-principles (PBE) data for a geometry-optimized Ca4Sn3S10 structure, as listed in the Materials Project.

Computed properties:
space-group type: P2_1
formation energy: -1.40 eV per atom
E_tot: -4.714 eV per atom
calculated volume: 23.8 Å³ per atom
polymorph energy (0 for the lowest one): 0.0056 eV/atom

extended XYZ file:
```
34
Lattice="7.165 0.000 0.000 0.000 6.793 0.000 -3.236 0.000 16.658" Properties=species:S:1:pos:R:3 pbc="T T T"
Ca -1.109 0.000 6.754
Ca 1.178 3.162 2.378
Ca -0.833 3.568 14.348
Ca 1.447 6.631 9.865
Ca 2.481 3.234 6.793
Ca 4.762 0.172 2.309
Ca 2.751 6.558 14.279
Ca 5.037 3.397 9.904
Sn -1.507 6.728 11.840
Sn 1.791 6.756 0.002
Sn 1.867 6.750 4.803
Sn 2.062 3.353 11.854
Sn 2.137 3.359 16.655
Sn 5.436 3.331 4.818
S -2.757 4.549 16.175
S -0.390 1.203 4.084
S -1.263 5.977 9.459
S -1.820 0.861 14.256
S 0.448 4.613 5.382
S -0.031 1.990 11.129
S 2.194 5.834 2.400
S 1.565 0.674 7.183
S 0.727 5.470 12.537
S 3.172 2.068 0.619
S 0.757 5.465 16.039
S 3.202 2.073 4.121
S 2.364 4.070 9.475
S 1.735 2.437 14.257
S 3.959 5.387 5.528
S 3.481 1.216 11.276
S 5.748 4.258 2.401
S 5.192 2.581 7.199
S 4.319 4.600 12.573
S 6.686 1.152 0.482
```

---

Entry 3:
First-principles (PBE) data for a geometry-optimized CaSn2S5 structure, as listed in the Materials Project.

Computed properties:
space-group type: P-1
formation energy: -1.04 eV per atom
E_tot: -4.564 eV per atom
calculated volume: 25.3 Å³ per atom
polymorph energy (0 for the lowest one): 0.0087 eV/atom

extended XYZ file:
```
16
Lattice="7.094 0.000 0.000 -1.946 6.886 0.000 -2.179 -3.031 8.278" Properties=species:S:1:pos:R:3 pbc="T T T"
Ca -0.125 1.539 2.129
Ca 3.095 2.315 6.149
Sn -0.996 -0.058 6.213
Sn 3.547 0.000 0.000
Sn 2.458 -1.516 4.139
Sn 3.965 3.913 2.065
S -1.465 3.653 3.822
S -0.974 -2.116 7.486
S -1.749 1.537 7.884
S 2.145 -0.113 2.081
S 1.017 0.508 4.997
S 1.953 3.347 3.281
S 0.824 3.967 6.197
S 4.718 2.318 0.394
S 3.944 5.971 0.792
S 4.434 0.201 4.456
```

---

What is the formula in the first record?
Ca4SnS6

---

Repeat the third record exactly.
First-principles (PBE) data for a geometry-optimized CaSn2S5 structure, as listed in the Materials Project.

Computed properties:
space-group type: P-1
formation energy: -1.04 eV per atom
E_tot: -4.564 eV per atom
calculated volume: 25.3 Å³ per atom
polymorph energy (0 for the lowest one): 0.0087 eV/atom

extended XYZ file:
```
16
Lattice="7.094 0.000 0.000 -1.946 6.886 0.000 -2.179 -3.031 8.278" Properties=species:S:1:pos:R:3 pbc="T T T"
Ca -0.125 1.539 2.129
Ca 3.095 2.315 6.149
Sn -0.996 -0.058 6.213
Sn 3.547 0.000 0.000
Sn 2.458 -1.516 4.139
Sn 3.965 3.913 2.065
S -1.465 3.653 3.822
S -0.974 -2.116 7.486
S -1.749 1.537 7.884
S 2.145 -0.113 2.081
S 1.017 0.508 4.997
S 1.953 3.347 3.281
S 0.824 3.967 6.197
S 4.718 2.318 0.394
S 3.944 5.971 0.792
S 4.434 0.201 4.456
```